This record from the Materials Project database describes a geometry-optimized AuSCl5 structure. The functional is PBE-GGA.

```
data_AuSCl5
_chemical_formula_sum 'Au4 S4 Cl20'
_cell_length_a 8.1946
_cell_length_b 8.6460
_cell_length_c 13.8225
_cell_angle_alpha 90.00
_cell_angle_beta 115.49
_cell_angle_gamma 90.00
_space_group_name_H-M_alt 'P 1 21/c 1'
_space_group_IT_number 14
loop_
_space_group_symop_operation_xyz
'x,y,z'
'-x,-y,-z'
'-x,y+1/2,-z+1/2'
'x,-y+1/2,z+1/2'
loop_
_atom_site_label
_atom_site_type_symbol
_atom_site_fract_x
_atom_site_fract_y
_atom_site_fract_z
Au1 Au 0.0901 0.1707 0.1548
S1 S 0.2377 0.2238 0.0430
Cl1 Cl 0.0812 0.6153 0.2525
Cl2 Cl 0.1648 0.6632 0.5106
Cl3 Cl 0.2424 0.0429 0.5468
Cl4 Cl 0.3481 0.1903 0.3129
Cl5 Cl 0.4992 0.6682 0.3803
```

Energy relative to the elements (meV/atom): -689.8
V (A^3/atom): 31.6
Electronic total energy (eV per atom): -2.630